Entry 1:
! NaSr4Sb3O12 PBE optimized geometry; values from VASP
&SYSTEM
  ibrav = 0, nat = 40, ntyp = 4
/
ATOMIC_SPECIES
Na 22.99 Na.upf
Sr 87.62 Sr.upf
Sb 121.76 Sb.upf
O 16.00 O.upf
CELL_PARAMETERS angstrom
8.231 0.000 0.000
0.000 8.206 0.000
-8.140 0.000 8.233
ATOMIC_POSITIONS crystal
Na 0.000 0.000 0.000
Na 0.000 0.500 0.500
Sr 0.032 0.245 0.263
Sr 0.032 0.255 0.763
Sr 0.457 0.746 0.723
Sr 0.457 0.754 0.223
Sr 0.543 0.246 0.777
Sr 0.543 0.254 0.277
Sr 0.968 0.745 0.237
Sr 0.968 0.755 0.737
Sb 0.000 0.000 0.500
Sb 0.000 0.500 0.000
Sb 0.500 0.000 0.000
Sb 0.500 0.000 0.500
Sb 0.500 0.500 0.000
Sb 0.500 0.500 0.500
O 0.019 0.728 0.044
O 0.019 0.772 0.544
O 0.211 0.538 0.961
O 0.211 0.962 0.461
O 0.238 0.539 0.465
O 0.238 0.961 0.965
O 0.287 0.041 0.750
O 0.287 0.459 0.250
O 0.307 0.036 0.272
O 0.307 0.464 0.772
O 0.481 0.250 0.029
O 0.481 0.250 0.529
O 0.519 0.750 0.471
O 0.519 0.750 0.971
O 0.693 0.536 0.228
O 0.693 0.964 0.728
O 0.713 0.541 0.750
O 0.713 0.959 0.250
O 0.762 0.039 0.035
O 0.762 0.461 0.535
O 0.789 0.038 0.539
O 0.789 0.462 0.039
O 0.981 0.228 0.456
O 0.981 0.272 0.956
! - energy (eV per cell) = -245.95
! - V (Å³/atom) = 13.9
! - theoretical density (g/cm3) = 5.56
! - size of the total moment (Bohr magnetons per cell) = 0.00
! - energy relative to the elements (kJ/mol of formula units) = -4957.0

=====

Entry 2:
! K6InP3 PBE optimized geometry; values from VASP
&SYSTEM
  ibrav = 0, nat = 20, ntyp = 3
/
ATOMIC_SPECIES
K 39.10 K.upf
In 114.82 In.upf
P 30.97 P.upf
CELL_PARAMETERS angstrom
9.010 0.000 0.000
4.447 7.857 0.000
2.939 -0.016 9.562
ATOMIC_POSITIONS crystal
K 0.000 0.000 0.000
K 0.009 0.666 0.892
K 0.022 0.020 0.609
K 0.155 0.316 0.407
K 0.339 0.251 0.057
K 0.383 0.429 0.602
K 0.498 0.748 0.385
K 0.513 0.784 0.017
K 0.634 0.390 0.860
K 0.732 0.062 0.377
K 0.783 0.686 0.611
K 0.876 0.373 0.151
In 0.181 0.700 0.252
In 0.348 0.051 0.746
P 0.051 0.324 0.769
P 0.151 0.000 0.261
P 0.360 0.760 0.742
P 0.477 0.433 0.240
P 0.626 0.054 0.758
P 0.916 0.677 0.239
! - energy (eV per cell) = -57.90
! - V (Å³/atom) = 33.8
! - theoretical density (g/cm3) = 2.17
! - energy relative to the elements (kJ/mol of formula units) = -317.9
! - ΔE to the lowest computed polymorph (meV per atom) = 0.0

=====

Entry 3:
! Na2LiTlCl6 PBE optimized geometry; values from VASP
&SYSTEM
  ibrav = 0, nat = 10, ntyp = 4
/
ATOMIC_SPECIES
Na 22.99 Na.upf
Li 6.94 Li.upf
Tl 204.38 Tl.upf
Cl 35.45 Cl.upf
CELL_PARAMETERS angstrom
0.000 5.120 5.120
5.120 0.000 5.120
5.120 5.120 0.000
ATOMIC_POSITIONS crystal
Na 0.250 0.250 0.250
Na 0.750 0.750 0.750
Li 0.000 0.000 0.000
Tl 0.500 0.500 0.500
Cl 0.246 0.246 0.754
Cl 0.246 0.754 0.246
Cl 0.246 0.754 0.754
Cl 0.754 0.246 0.246
Cl 0.754 0.246 0.754
Cl 0.754 0.754 0.246
! - energy (eV per cell) = -30.17
! - V (Å³/atom) = 26.8
! - theoretical density (g/cm3) = 2.91
! - energy relative to the elements (kJ/mol of formula units) = -1529.1

=====

Entry 4:
! Ba6CaNb2IrCl2O12 PBE optimized geometry; values from VASP
&SYSTEM
  ibrav = 0, nat = 24, ntyp = 6
/
ATOMIC_SPECIES
Ba 137.33 Ba.upf
Ca 40.08 Ca.upf
Nb 92.91 Nb.upf
Ir 192.22 Ir.upf
Cl 35.45 Cl.upf
O 16.00 O.upf
CELL_PARAMETERS angstrom
5.958 0.000 0.000
-2.967 5.465 0.000
-0.208 -2.520 15.620
ATOMIC_POSITIONS crystal
Ba 0.000 0.000 0.000
Ba 0.028 0.048 0.254
Ba 0.165 0.293 0.662
Ba 0.335 0.671 0.120
Ba 0.458 0.896 0.521
Ba 0.524 0.990 0.765
Ca 0.287 0.574 0.902
Nb 0.655 0.311 0.078
Nb 0.840 0.642 0.699
Ir 0.733 0.477 0.891
Cl 0.060 0.104 0.461
Cl 0.429 0.842 0.316
O 0.126 0.710 0.634
O 0.364 0.210 0.143
O 0.471 0.417 0.985
O 0.483 0.960 0.998
O 0.541 0.534 0.799
O 0.618 0.716 0.633
O 0.632 0.265 0.646
O 0.838 0.670 0.130
O 0.873 0.225 0.140
O 0.937 0.419 0.981
O 0.983 0.510 0.795
O 0.997 0.966 0.772
! - energy (eV per cell) = -165.41
! - V (Å³/atom) = 21.2
! - theoretical density (g/cm3) = 4.91
! - size of the total moment (Bohr magnetons per cell) = 1.00
! - energy relative to the elements (kJ/mol of formula units) = -6563.1
! - ΔE to the lowest computed polymorph (meV per atom) = 0.0

=====

Entry 5:
! Cu3Ge PBE optimized geometry; values from VASP
&SYSTEM
  ibrav = 0, nat = 8, ntyp = 2
/
ATOMIC_SPECIES
Cu 63.55 Cu.upf
Ge 72.64 Ge.upf
CELL_PARAMETERS angstrom
4.228 0.000 0.000
0.000 5.313 0.000
0.000 0.000 4.552
ATOMIC_POSITIONS crystal
Cu 0.250 0.001 0.165
Cu 0.250 0.250 0.668
Cu 0.250 0.499 0.165
Cu 0.750 0.501 0.835
Cu 0.750 0.750 0.332
Cu 0.750 0.999 0.835
Ge 0.250 0.750 0.673
Ge 0.750 0.250 0.327
! - energy (eV per cell) = -33.89
! - V (Å³/atom) = 12.8
! - theoretical density (g/cm3) = 8.55
! - energy relative to the elements (kJ/mol of formula units) = -2.2

=====

Entry 6:
! Rb4TlSbCl12 PBE optimized geometry; values from VASP
&SYSTEM
  ibrav = 0, nat = 18, ntyp = 4
/
ATOMIC_SPECIES
Rb 85.47 Rb.upf
Tl 204.38 Tl.upf
Sb 121.76 Sb.upf
Cl 35.45 Cl.upf
CELL_PARAMETERS angstrom
7.500 0.000 0.000
0.000 7.500 0.000
0.000 0.000 10.386
ATOMIC_POSITIONS crystal
Rb 0.000 0.500 0.214
Rb 0.000 0.500 0.786
Rb 0.500 0.000 0.214
Rb 0.500 0.000 0.786
Tl 0.000 0.000 0.000
Sb 0.500 0.500 0.500
Cl 0.000 0.000 0.251
Cl 0.000 0.000 0.749
Cl 0.249 0.249 0.000
Cl 0.249 0.751 0.000
Cl 0.272 0.272 0.500
Cl 0.272 0.728 0.500
Cl 0.500 0.500 0.266
Cl 0.500 0.500 0.734
Cl 0.728 0.272 0.500
Cl 0.728 0.728 0.500
Cl 0.751 0.249 0.000
Cl 0.751 0.751 0.000
! - energy (eV per cell) = -55.96
! - V (Å³/atom) = 32.5
! - theoretical density (g/cm3) = 3.11
! - size of the total moment (Bohr magnetons per cell) = 0.01
! - energy relative to the elements (kJ/mol of formula units) = -2965.3

=====

Entry 7:
! Ho2Se3O9 PBE optimized geometry; values from VASP
&SYSTEM
  ibrav = 0, nat = 28, ntyp = 3
/
ATOMIC_SPECIES
Ho 164.93 Ho.upf
Se 78.96 Se.upf
O 16.00 O.upf
CELL_PARAMETERS angstrom
8.534 0.000 0.000
-4.267 7.390 0.000
0.000 0.000 8.189
ATOMIC_POSITIONS crystal
Ho 0.333 0.667 0.039
Ho 0.333 0.667 0.461
Ho 0.667 0.333 0.539
Ho 0.667 0.333 0.961
Se 0.029 0.733 0.750
Se 0.267 0.297 0.750
Se 0.297 0.029 0.250
Se 0.703 0.971 0.750
Se 0.733 0.703 0.250
Se 0.971 0.267 0.250
O 0.130 0.500 0.250
O 0.162 0.750 0.587
O 0.162 0.750 0.913
O 0.250 0.411 0.587
O 0.250 0.411 0.913
O 0.371 0.870 0.250
O 0.411 0.162 0.087
O 0.411 0.162 0.413
O 0.500 0.371 0.750
O 0.500 0.629 0.250
O 0.589 0.838 0.587
O 0.589 0.838 0.913
O 0.629 0.130 0.750
O 0.750 0.589 0.087
O 0.750 0.589 0.413
O 0.838 0.250 0.087
O 0.838 0.250 0.413
O 0.870 0.500 0.750
! - energy (eV per cell) = -181.20
! - V (Å³/atom) = 18.4
! - theoretical density (g/cm3) = 4.57
! - size of the total moment (Bohr magnetons per cell) = 0.00
! - energy relative to the elements (kJ/mol of formula units) = -3145.1
! - ΔE to the lowest computed polymorph (meV per atom) = 21.6

=====

Entry 8:
! Tm2TeO6 PBE optimized geometry; values from VASP
&SYSTEM
  ibrav = 0, nat = 27, ntyp = 3
/
ATOMIC_SPECIES
Tm 168.93 Tm.upf
Te 127.60 Te.upf
O 16.00 O.upf
CELL_PARAMETERS angstrom
9.105 0.000 0.000
-4.553 7.885 0.000
0.000 0.000 5.113
ATOMIC_POSITIONS crystal
Tm 0.000 0.287 0.000
Tm 0.000 0.624 0.500
Tm 0.287 0.000 0.000
Tm 0.376 0.376 0.500
Tm 0.624 0.000 0.500
Tm 0.713 0.713 0.000
Te 0.000 0.000 0.500
Te 0.333 0.667 0.006
Te 0.667 0.333 0.994
O 0.083 0.880 0.287
O 0.120 0.203 0.287
O 0.131 0.542 0.222
O 0.203 0.120 0.713
O 0.222 0.760 0.789
O 0.240 0.462 0.789
O 0.411 0.869 0.222
O 0.458 0.589 0.222
O 0.462 0.240 0.211
O 0.538 0.778 0.789
O 0.542 0.131 0.778
O 0.589 0.458 0.778
O 0.760 0.222 0.211
O 0.778 0.538 0.211
O 0.797 0.917 0.287
O 0.869 0.411 0.778
O 0.880 0.083 0.713
O 0.917 0.797 0.713
! - energy (eV per cell) = -195.42
! - V (Å³/atom) = 13.6
! - theoretical density (g/cm3) = 7.62
! - energy relative to the elements (kJ/mol of formula units) = -2651.3
! - ΔE to the lowest computed polymorph (meV per atom) = 0.0

=====

Entry 9:
! Na3MgAlSi7O18 PBE optimized geometry; values from VASP
&SYSTEM
  ibrav = 0, nat = 60, ntyp = 5
/
ATOMIC_SPECIES
Na 22.99 Na.upf
Mg 24.30 Mg.upf
Al 26.98 Al.upf
Si 28.09 Si.upf
O 16.00 O.upf
CELL_PARAMETERS angstrom
13.641 -4.326 0.000
13.641 4.326 0.000
-0.344 0.000 5.304
ATOMIC_POSITIONS crystal
Na 0.000 0.000 0.000
Na 0.261 0.071 0.832
Na 0.328 0.337 0.664
Na 0.599 0.401 0.500
Na 0.663 0.672 0.336
Na 0.929 0.739 0.168
Mg 0.058 0.274 0.333
Mg 0.726 0.942 0.667
Al 0.203 0.797 0.500
Al 0.394 0.606 0.000
Si 0.111 0.697 0.788
Si 0.152 0.375 0.041
Si 0.295 0.509 0.287
Si 0.303 0.889 0.212
Si 0.440 0.034 0.449
Si 0.491 0.705 0.713
Si 0.535 0.131 0.167
Si 0.625 0.848 0.959
Si 0.631 0.229 0.888
Si 0.771 0.369 0.112
Si 0.817 0.042 0.374
Si 0.869 0.465 0.833
Si 0.958 0.183 0.626
Si 0.966 0.560 0.551
O 0.011 0.896 0.365
O 0.066 0.341 0.000
O 0.074 0.499 0.811
O 0.089 0.474 0.312
O 0.104 0.989 0.635
O 0.153 0.079 0.185
O 0.174 0.590 0.524
O 0.193 0.572 0.021
O 0.193 0.737 0.803
O 0.251 0.181 0.484
O 0.263 0.807 0.197
O 0.340 0.585 0.307
O 0.349 0.231 0.026
O 0.410 0.826 0.476
O 0.415 0.660 0.693
O 0.428 0.807 0.979
O 0.436 0.314 0.308
O 0.488 0.421 0.862
O 0.501 0.926 0.189
O 0.510 0.086 0.442
O 0.526 0.911 0.688
O 0.577 0.161 0.892
O 0.579 0.512 0.138
O 0.659 0.934 0.000
O 0.686 0.564 0.692
O 0.731 0.009 0.329
O 0.740 0.168 0.146
O 0.747 0.147 0.642
O 0.769 0.651 0.974
O 0.819 0.749 0.516
O 0.832 0.260 0.854
O 0.839 0.423 0.108
O 0.853 0.253 0.358
O 0.914 0.490 0.558
O 0.921 0.847 0.815
O 0.991 0.269 0.671
! - energy (eV per cell) = -432.72
! - V (Å³/atom) = 10.4
! - theoretical density (g/cm3) = 3.21
! - size of the total moment (Bohr magnetons per cell) = 0.00
! - energy relative to the elements (kJ/mol of formula units) = -8912.5

=====

Entry 10:
! MgCo4As4S4 PBE optimized geometry; values from VASP
&SYSTEM
  ibrav = 0, nat = 13, ntyp = 4
/
ATOMIC_SPECIES
Mg 24.30 Mg.upf
Co 58.93 Co.upf
As 74.92 As.upf
S 32.06 S.upf
CELL_PARAMETERS angstrom
4.028 2.326 3.555
-4.028 2.326 3.555
0.000 -4.651 3.555
ATOMIC_POSITIONS crystal
Mg 0.000 0.000 0.000
Co 0.199 0.694 0.700
Co 0.227 0.227 0.227
Co 0.694 0.700 0.199
Co 0.700 0.199 0.694
As 0.087 0.331 0.592
As 0.331 0.592 0.087
As 0.592 0.087 0.331
As 0.782 0.782 0.782
S 0.117 0.832 0.351
S 0.351 0.117 0.832
S 0.570 0.570 0.570
S 0.832 0.351 0.117
! - energy (eV per cell) = -67.65
! - V (Å³/atom) = 15.4
! - theoretical density (g/cm3) = 5.72
! - size of the total moment (Bohr magnetons per cell) = 1.99
! - energy relative to the elements (kJ/mol of formula units) = -428.9
! - ΔE to the lowest computed polymorph (meV per atom) = 94.1

=====

Entry 11:
! ZrSeS PBE optimized geometry; values from VASP
&SYSTEM
  ibrav = 0, nat = 3, ntyp = 3
/
ATOMIC_SPECIES
Zr 91.22 Zr.upf
Se 78.96 Se.upf
S 32.06 S.upf
CELL_PARAMETERS angstrom
3.749 0.000 0.000
-1.874 3.247 0.000
0.000 0.000 6.283
ATOMIC_POSITIONS crystal
Zr 0.000 0.000 0.000
Se 0.667 0.333 0.738
S 0.333 0.667 0.223
! - energy (eV per cell) = -20.44
! - V (Å³/atom) = 25.5
! - theoretical density (g/cm3) = 4.39
! - energy relative to the elements (kJ/mol of formula units) = -459.5

=====

Entry 12:
! YAsS PBE optimized geometry; values from VASP
&SYSTEM
  ibrav = 0, nat = 6, ntyp = 3
/
ATOMIC_SPECIES
Y 88.91 Y.upf
As 74.92 As.upf
S 32.06 S.upf
CELL_PARAMETERS angstrom
3.835 0.000 0.000
0.000 3.853 0.000
0.000 0.000 8.532
ATOMIC_POSITIONS crystal
Y 0.250 0.250 0.208
Y 0.750 0.750 0.792
As 0.250 0.750 0.496
As 0.750 0.250 0.504
S 0.250 0.250 0.873
S 0.750 0.750 0.127
! - energy (eV per cell) = -39.77
! - V (Å³/atom) = 21.0
! - theoretical density (g/cm3) = 5.16
! - size of the total moment (Bohr magnetons per cell) = 0.00
! - energy relative to the elements (kJ/mol of formula units) = -494.8